{
  "formula": "KNa2ScF6",
  "functional": "PBE",
  "state": "optimized geometry",
  "lattice_angstrom": [[0.000, 4.497, 4.497], [4.497, 0.000, 4.497], [4.497, 4.497, 0.000]],
  "species": ["K", "Na", "Na", "Sc", "F", "F", "F", "F", "F", "F"],
  "frac_coords": [[0.000, 0.000, 0.000], [0.250, 0.250, 0.250], [0.750, 0.750, 0.750], [0.500, 0.500, 0.500], [0.275, 0.275, 0.725], [0.275, 0.725, 0.275], [0.275, 0.725, 0.725], [0.725, 0.275, 0.275], [0.725, 0.275, 0.725], [0.725, 0.725, 0.275]],
  "crystal_system": "cubic",
  "m_tot_mub_per_cell": 0.01,
  "sg": "Fm-3m, No. 225"
}



{
  "formula": "KNaSiF6",
  "functional": "PBE",
  "state": "optimized geometry",
  "lattice_angstrom": [[9.521, 0.000, 0.000], [0.000, 5.546, 0.000], [0.000, 0.000, 9.899]],
  "species": ["K", "K", "K", "K", "Na", "Na", "Na", "Na", "Si", "Si", "Si", "Si", "F", "F", "F", "F", "F", "F", "F", "F", "F", "F", "F", "F", "F", "F", "F", "F", "F", "F", "F", "F", "F", "F", "F", "F"],
  "frac_coords": [[0.014, 0.250, 0.176], [0.486, 0.750, 0.676], [0.514, 0.250, 0.324], [0.986, 0.750, 0.824], [0.127, 0.750, 0.447], [0.373, 0.250, 0.947], [0.627, 0.750, 0.053], [0.873, 0.250, 0.553], [0.228, 0.250, 0.578], [0.272, 0.750, 0.078], [0.728, 0.250, 0.922], [0.772, 0.750, 0.422], [0.121, 0.250, 0.436], [0.123, 0.031, 0.645], [0.123, 0.469, 0.645], [0.166, 0.750, 0.217], [0.171, 0.529, 0.004], [0.171, 0.971, 0.004], [0.329, 0.029, 0.504], [0.329, 0.471, 0.504], [0.334, 0.250, 0.717], [0.377, 0.531, 0.145], [0.377, 0.969, 0.145], [0.379, 0.750, 0.936], [0.621, 0.250, 0.064], [0.623, 0.031, 0.855], [0.623, 0.469, 0.855], [0.666, 0.750, 0.283], [0.671, 0.529, 0.496], [0.671, 0.971, 0.496], [0.829, 0.029, 0.996], [0.829, 0.471, 0.996], [0.834, 0.250, 0.783], [0.877, 0.531, 0.355], [0.877, 0.969, 0.355], [0.879, 0.750, 0.564]],
  "crystal_system": "orthorhombic",
  "m_tot_mub_per_cell": 0.01,
  "sg": "Pnma, No. 62"
}



no.,total energy (eV/atom)
1,-5.23
2,-5.24